No. 1
UPb2 | the Materials Project database | GGA-PBE | optimized geometry; total DFT energy (no corrections) = -36.2 eV/cell; V = 28.88 Å³/atom; size of the total moment = 0.01 Bohr magnetons per cell
1.0
3.724 0.000 0.000
0.329 5.474 0.000
1.026 1.698 8.500
U Pb
2 4
direct
0.744 0.653 0.973
0.256 0.347 0.027
0.350 0.714 0.637
0.650 0.286 0.363
0.147 0.794 0.263
0.853 0.206 0.737

---

No. 2
UPb | the Materials Project database | GGA-PBE | optimized geometry; total DFT energy (no corrections) = -28.7 eV/cell; V = 27.13 Å³/atom; size of the total moment = 5.84 Bohr magnetons per cell
1.0
-0.156 -6.076 0.591
-5.553 -2.541 0.064
2.961 3.993 -3.547
Pb U
2 2
direct
0.000 0.000 0.000
0.750 0.250 0.500
0.250 0.750 0.500
0.500 0.500 0.000